No. 1
# ZnP4WO12, optimized geometry, DFT PBE with a Hubbard U
data_ZnP4WO12
_space_group_name_H-M_alt 'C 1 2/c 1'
_space_group_IT_number 15
_cell_length_a 12.718
_cell_length_b 8.831
_cell_length_c 10.406
_cell_angle_alpha 90.00
_cell_angle_beta 118.13
_cell_angle_gamma 90.00
loop_
_space_group_symop_operation_xyz
'x,y,z'
'-x,-y,-z'
'-x,y,-z+1/2'
'x,-y,z+1/2'
'x+1/2,y+1/2,z'
'-x+1/2,-y+1/2,-z'
'-x+1/2,y+1/2,-z+1/2'
'x+1/2,-y+1/2,z+1/2'
loop_
_atom_site_label
_atom_site_type_symbol
_atom_site_fract_x
_atom_site_fract_y
_atom_site_fract_z
_atom_site_occupancy
Zn1 Zn 0.000 0.015 0.250 1
P1 P 0.003 0.279 0.971 1
P2 P 0.180 0.493 0.191 1
W1 W 0.250 0.250 0.500 1
O1 O 0.032 0.142 0.910 1
O2 O 0.063 0.266 0.442 1
O3 O 0.067 0.401 0.659 1
O4 O 0.128 0.364 0.067 1
O5 O 0.224 0.424 0.338 1
O6 O 0.230 0.081 0.336 1
# * spin magnetization: 16.0 μB per cell

---

No. 2
# ZnP2W2O9, optimized geometry, DFT PBE with a Hubbard U
data_ZnP2W2O9
_space_group_name_H-M_alt 'P n m a'
_space_group_IT_number 62
_cell_length_a 14.988
_cell_length_b 6.699
_cell_length_c 7.335
_cell_angle_alpha 90.00
_cell_angle_beta 90.00
_cell_angle_gamma 90.00
loop_
_space_group_symop_operation_xyz
'x,y,z'
'-x,-y,-z'
'-x+1/2,-y,z+1/2'
'x+1/2,y,-z+1/2'
'x+1/2,-y+1/2,-z+1/2'
'-x+1/2,y+1/2,z+1/2'
'-x,y+1/2,-z'
'x,-y+1/2,z'
loop_
_atom_site_label
_atom_site_type_symbol
_atom_site_fract_x
_atom_site_fract_y
_atom_site_fract_z
_atom_site_occupancy
Zn1 Zn 0.233 0.250 0.054 1
P1 P 0.078 0.750 0.624 1
P2 P 0.190 0.750 0.099 1
W1 W 0.000 0.000 0.000 1
W2 W 0.125 0.250 0.627 1
O1 O 0.009 0.750 0.474 1
O2 O 0.029 0.750 0.815 1
O3 O 0.064 0.250 0.883 1
O4 O 0.135 0.553 0.100 1
O5 O 0.143 0.571 0.613 1
O6 O 0.241 0.250 0.439 1
O7 O 0.249 0.250 0.776 1
# * spin magnetization: 24.0 μB per cell

---

No. 3
# ZnP2WO7, optimized geometry, DFT PBE with a Hubbard U
data_ZnP2WO7
_space_group_name_H-M_alt 'P -1'
_space_group_IT_number 2
_cell_length_a 5.531
_cell_length_b 6.623
_cell_length_c 8.283
_cell_angle_alpha 93.69
_cell_angle_beta 91.24
_cell_angle_gamma 112.14
loop_
_space_group_symop_operation_xyz
'x,y,z'
'-x,-y,-z'
loop_
_atom_site_label
_atom_site_type_symbol
_atom_site_fract_x
_atom_site_fract_y
_atom_site_fract_z
_atom_site_occupancy
Zn1 Zn 0.157 0.183 0.383 1
P1 P 0.300 0.730 0.411 1
P2 P 0.326 0.153 0.853 1
W1 W 0.167 0.612 0.860 1
O1 O 0.097 0.922 0.830 1
O2 O 0.123 0.855 0.457 1
O3 O 0.148 0.497 0.329 1
O4 O 0.245 0.330 0.795 1
O5 O 0.459 0.201 0.020 1
O6 O 0.467 0.875 0.275 1
O7 O 0.469 0.715 0.554 1
# * spin magnetization: 0.0 μB per cell
# * distance to the lowest polymorph of the same formula: 95 meV/atom

---

No. 4
# ZnP3W3O13, optimized geometry, DFT PBE with a Hubbard U
data_ZnP3W3O13
_space_group_name_H-M_alt 'P 1 21/m 1'
_space_group_IT_number 11
_cell_length_a 7.845
_cell_length_b 6.718
_cell_length_c 10.934
_cell_angle_alpha 90.00
_cell_angle_beta 100.48
_cell_angle_gamma 90.00
loop_
_space_group_symop_operation_xyz
'x,y,z'
'-x,-y,-z'
'-x,y+1/2,-z'
'x,-y+1/2,z'
loop_
_atom_site_label
_atom_site_type_symbol
_atom_site_fract_x
_atom_site_fract_y
_atom_site_fract_z
_atom_site_occupancy
Zn1 Zn 0.195 0.250 0.220 1
P1 P 0.202 0.750 0.129 1
P2 P 0.227 0.750 0.776 1
P3 P 0.301 0.250 0.533 1
W1 W 0.132 0.250 0.802 1
W2 W 0.284 0.750 0.459 1
W3 W 0.500 0.000 0.000 1
O1 O 0.013 0.750 0.054 1
O2 O 0.120 0.566 0.798 1
O3 O 0.156 0.750 0.265 1
O4 O 0.167 0.250 0.623 1
O5 O 0.268 0.067 0.446 1
O6 O 0.279 0.750 0.648 1
O7 O 0.300 0.558 0.109 1
O8 O 0.357 0.250 0.911 1
O9 O 0.401 0.750 0.877 1
O10 O 0.484 0.250 0.614 1
# * spin magnetization: 18.0 μB per cell

---

no.,energy (eV for the cell shown),energy of formation (kJ/mol of formula units)
1,-496.359,-4007
2,-390.047,-2898
3,-145.811,-2168
4,-282.582,-4133